Density functional theory data (GGA+U) for crystalline Co3C9SO9 at its relaxed geometry.

Results
Energy of formation from the pure elements   -740 meV/atom

Unit cell a=9.7716 b=13.3249 c=13.4987 alpha=110.36 beta=108.46 gamma=97.11
Last column: nearest neighbours and their distance in Å.
Space group P-1 (No. 2)
Unique sites:
Co (0.0339, 0.1895, 0.1522) (multiplicity 2)  3 C 1.78-1.79
Co (0.1136, 0.6681, 0.7667) (multiplicity 2)  3 C 1.77-1.80
Co (0.1759, 0.4031, 0.2750) (multiplicity 2)  3 C 1.77-1.80
Co (0.2207, 0.1585, 0.5756) (multiplicity 2)  3 C 1.78-1.80
Co (0.2916, 0.2603, 0.7983) (multiplicity 2)  3 C 1.78-1.79
Co (0.4327, 0.1141, 0.7238) (multiplicity 2)  3 C 1.78-1.80
C (0.0093, 0.8093, 0.9860) (multiplicity 2)  1 O 1.16
C (0.0413, 0.1864, 0.5314) (multiplicity 2)  1 O 1.16
C (0.1102, 0.9272, 0.8802) (multiplicity 2)  1 O 1.16
C (0.1233, 0.5415, 0.6681) (multiplicity 2)  1 O 1.16
C (0.1271, 0.3094, 0.7839) (multiplicity 2)  1 O 1.16
C (0.1444, 0.4359, 0.1547) (multiplicity 2)  1 O 1.16
C (0.1935, 0.6521, 0.8962) (multiplicity 2)  1 O 1.16
C (0.1938, 0.1349, 0.1736) (multiplicity 2)  1 O 1.16
C (0.2043, 0.0440, 0.4489) (multiplicity 2)  1 O 1.16
C (0.2172, 0.5384, 0.3864) (multiplicity 2)  1 O 1.16
C (0.2632, 0.7648, 0.7712) (multiplicity 2)  1 O 1.16
C (0.3354, 0.2669, 0.5670) (multiplicity 2)  1 O 1.16
C (0.3460, 0.2659, 0.9404) (multiplicity 2)  1 O 1.16
C (0.3608, 0.3844, 0.3002) (multiplicity 2)  1 O 1.16
C (0.4158, 0.7917, 0.2710) (multiplicity 2)  1 O 1.16
C (0.4203, 0.3817, 0.8233) (multiplicity 2)  1 O 1.16
C (0.4388, 0.9877, 0.6215) (multiplicity 2)  1 O 1.16
C (0.4861, 0.9009, 0.1439) (multiplicity 2)  1 O 1.16
S (0.0762, 0.2906, 0.3297) (multiplicity 2)  3 Co 2.15-2.17
S (0.1985, 0.0852, 0.6912) (multiplicity 2)  3 Co 2.15-2.16
O (0.0250, 0.3455, 0.7815) (multiplicity 2)  1 C 1.16
O (0.0405, 0.8110, 0.0771) (multiplicity 2)  1 C 1.16
O (0.0782, 0.8036, 0.5039) (multiplicity 2)  1 C 1.16
O (0.1283, 0.4576, 0.0764) (multiplicity 2)  1 C 1.16
O (0.1373, 0.4617, 0.6056) (multiplicity 2)  1 C 1.16
O (0.1912, 0.9727, 0.3643) (multiplicity 2)  1 C 1.16
O (0.2023, 0.0045, 0.9028) (multiplicity 2)  1 C 1.16
O (0.2472, 0.6365, 0.9776) (multiplicity 2)  1 C 1.16
O (0.2506, 0.6256, 0.4597) (multiplicity 2)  1 C 1.16
O (0.2925, 0.0949, 0.1911) (multiplicity 2)  1 C 1.16
O (0.3181, 0.7333, 0.2713) (multiplicity 2)  1 C 1.16
O (0.3579, 0.8249, 0.7698) (multiplicity 2)  1 C 1.16
O (0.3803, 0.2729, 0.0335) (multiplicity 2)  1 C 1.16
O (0.4127, 0.3376, 0.5631) (multiplicity 2)  1 C 1.16
O (0.4271, 0.9107, 0.0600) (multiplicity 2)  1 C 1.16
O (0.4456, 0.9054, 0.5579) (multiplicity 2)  1 C 1.16
O (0.4820, 0.3765, 0.3185) (multiplicity 2)  1 C 1.16
O (0.5003, 0.4620, 0.8376) (multiplicity 2)  1 C 1.16

---

Density functional theory data (GGA+U) for crystalline Li2CoSiO4 at its relaxed geometry.

Results
Energy of formation from the pure elements   -2493 meV/atom

Unit cell a=6.3409 b=5.0324 c=10.8125 alpha=90.00 beta=90.75 gamma=90.00
Last column: nearest neighbours and their distance in Å.
Space group P2_1/c (No. 14)
Unique sites:
Li (0.9999, 0.1859, 0.0865) (multiplicity 4)  4 O 1.95-2.01
Li (0.2318, 0.6870, 0.1695) (multiplicity 4)  4 O 1.95-2.16
Co (0.4933, 0.1967, 0.0952) (multiplicity 4)  4 O 1.94-2.07
Si (0.2416, 0.1842, 0.3383) (multiplicity 4)  4 O 1.62-1.69
O (0.0341, 0.2066, 0.9078) (multiplicity 4)  1 Si 1.62
O (0.2486, 0.2068, 0.6932) (multiplicity 4)  1 Si 1.66
O (0.2500, 0.6453, 0.8379) (multiplicity 4)  1 Si 1.66
O (0.4664, 0.2107, 0.9089) (multiplicity 4)  1 Si 1.69

---

Density functional theory data (GGA+U) for crystalline H2WO4 at its relaxed geometry.

Results
Energy of formation from the pure elements   -1755 meV/atom

Unit cell a=10.9769 b=5.4555 c=5.2464 alpha=90.00 beta=90.00 gamma=90.00
Last column: nearest neighbours and their distance in Å.
Space group Pnma (No. 62)
Unique sites:
H (0.0092, 0.2500, 0.0804) (multiplicity 4)  1 O 0.99
H (0.0242, 0.2500, 0.7723) (multiplicity 4)  1 O 0.98
W (0.2247, 0.7500, 0.5125) (multiplicity 4)  5 O 1.77-1.94
O (0.0670, 0.2500, 0.9366) (multiplicity 4)  2 H 0.98-0.99
O (0.0668, 0.7500, 0.5803) (multiplicity 4)  1 W 1.77, 1 H 1.97
O (0.2254, 0.9997, 0.2525) (multiplicity 8)  2 W 1.93-1.94

---

Density functional theory data (GGA+U) for crystalline NaW2O6 at its relaxed geometry.

Results
Energy of formation from the pure elements   -2180 meV/atom

Unit cell a=7.8057 b=7.8057 c=7.8057 alpha=90.00 beta=90.00 gamma=90.00
Last column: nearest neighbours and their distance in Å.
Space group Fm-3m (No. 225)
Unique sites:
Na (0.0000, 0.0000, 0.0000) (multiplicity 4)  12 O 2.76
W (0.2500, 0.2500, 0.2500) (multiplicity 8)  6 O 1.95
O (0.0000, 0.2500, 0.2500) (multiplicity 24)  2 W 1.95

---

Density functional theory data (GGA+U) for crystalline KLiGd2Mo4O16 at its relaxed geometry.

Results
Energy of formation from the pure elements   -2515 meV/atom

Unit cell a=5.3120 b=12.8716 c=19.6518 alpha=90.00 beta=93.04 gamma=90.00
Last column: nearest neighbours and their distance in Å.
Space group C2/c (No. 15)
Unique sites:
K (0.0000, 0.0312, 0.2500) (multiplicity 4)  4 O 2.71-2.73
Li (0.0000, 0.3136, 0.2500) (multiplicity 4)  4 O 2.04-2.10
Gd (0.0008, 0.1464, 0.4672) (multiplicity 8)  8 O 2.33-2.53
Mo (0.0101, 0.2573, 0.6486) (multiplicity 8)  4 O 1.77-1.87
Mo (0.0190, 0.4376, 0.0920) (multiplicity 8)  4 O 1.76-1.86
O (0.1069, 0.4082, 0.3293) (multiplicity 8)  1 Mo 1.76
O (0.1282, 0.1395, 0.8263) (multiplicity 8)  1 Mo 1.77
O (0.1610, 0.3306, 0.0429) (multiplicity 8)  1 Mo 1.86
O (0.1739, 0.2402, 0.5672) (multiplicity 8)  1 Mo 1.87
O (0.2323, 0.2963, 0.7139) (multiplicity 8)  1 Mo 1.77
O (0.2327, 0.4554, 0.6018) (multiplicity 8)  1 Mo 1.79
O (0.2437, 0.0195, 0.5376) (multiplicity 8)  1 Mo 1.85
O (0.2465, 0.3489, 0.8669) (multiplicity 8)  1 Mo 1.82

---

Density functional theory data (GGA+U) for crystalline Mn5Si3O12 at its relaxed geometry.

Results
Energy of formation from the pure elements   -2531 meV/atom

Unit cell a=11.9895 b=11.9895 c=11.9895 alpha=90.00 beta=90.00 gamma=90.00
Last column: nearest neighbours and their distance in Å.
Space group Ia-3d (No. 230)
Unique sites:
Mn (0.0000, 0.0000, 0.0000) (multiplicity 16)  6 O 2.05
Mn (0.0000, 0.2500, 0.1250) (multiplicity 24)  8 O 2.31-2.43
Si (0.0000, 0.2500, 0.3750) (multiplicity 24)  4 O 1.66
O (0.0358, 0.0530, 0.6583) (multiplicity 96)  1 Si 1.66

---

Density functional theory data (GGA+U) for crystalline KGa2NiP3H4O14 at its relaxed geometry.

Results
Energy of formation from the pure elements   -2211 meV/atom

Unit cell a=13.4511 b=10.2842 c=8.8963 alpha=90.00 beta=107.41 gamma=90.00
Last column: nearest neighbours and their distance in Å.
Space group C2/c (No. 15)
Unique sites:
K (0.0000, 0.1338, 0.2500) (multiplicity 4)  6 O 2.90-3.09
Ga (0.1725, 0.4252, 0.5694) (multiplicity 8)  5 O 1.86-2.03
Ni (0.0000, 0.2278, 0.7500) (multiplicity 4)  6 O 2.03-2.14
P (0.0000, 0.4982, 0.7500) (multiplicity 4)  4 O 1.54-1.56
P (0.2081, 0.1279, 0.6799) (multiplicity 8)  4 O 1.53-1.58
H (0.1383, 0.2751, 0.0476) (multiplicity 8)  1 O 0.99
H (0.1410, 0.1305, 0.9852) (multiplicity 8)  1 O 0.98
O (0.0590, 0.4096, 0.3840) (multiplicity 8)  1 P 1.54
O (0.0719, 0.4007, 0.6974) (multiplicity 8)  1 P 1.56
O (0.0944, 0.2043, 0.9862) (multiplicity 8)  2 H 0.98-0.99
O (0.0985, 0.1029, 0.6900) (multiplicity 8)  1 P 1.53
O (0.2065, 0.4095, 0.1615) (multiplicity 8)  1 P 1.58
O (0.2220, 0.0457, 0.5406) (multiplicity 8)  1 P 1.56
O (0.2363, 0.2725, 0.6618) (multiplicity 8)  1 P 1.56

---

Density functional theory data (GGA+U) for crystalline V2P5O16 at its relaxed geometry.

Results
Energy of formation from the pure elements   -2637 meV/atom

Unit cell a=5.1352 b=6.8178 c=19.0725 alpha=90.00 beta=90.90 gamma=90.00
Last column: nearest neighbours and their distance in Å.
Space group P2/c (No. 13)
Unique sites:
V (0.2490, 0.1814, 0.0935) (multiplicity 4)  6 O 1.92-2.02
P (0.2466, 0.4641, 0.3691) (multiplicity 4)  4 O 1.51-1.61
P (0.2546, 0.1253, 0.9239) (multiplicity 4)  4 O 1.52-1.62
P (0.5000, 0.2743, 0.2500) (multiplicity 2)  4 O 1.50-1.61
O (0.0330, 0.4141, 0.1164) (multiplicity 4)  1 P 1.51
O (0.0475, 0.0104, 0.3927) (multiplicity 4)  1 P 1.52
O (0.1792, 0.2134, 0.9945) (multiplicity 4)  1 P 1.53
O (0.2739, 0.3046, 0.8685) (multiplicity 4)  2 P 1.58-1.62
O (0.3024, 0.4226, 0.2875) (multiplicity 4)  2 P 1.61
O (0.3488, 0.1594, 0.1960) (multiplicity 4)  1 P 1.50
O (0.4524, 0.3679, 0.4145) (multiplicity 4)  1 P 1.51
O (0.4726, 0.0387, 0.5757) (multiplicity 4)  1 P 1.52